[1]
Entry from the Materials Project database: Zn4Cr5Te3O18 after structural relaxation (PBE+U).

Unit cell a=8.7284 b=8.7284 c=10.5742 alpha=85.34 beta=85.34 gamma=63.23
Last column: nearest neighbours and their distance in Å.
Element x y z (fractional)
Zn 0.3486 0.0599 0.0667  4 O 1.94-2.03
Zn 0.3773 0.6781 0.9640  4 O 1.93-2.11
Zn 0.9401 0.6514 0.4333  4 O 1.94-2.03
Zn 0.3219 0.6227 0.5360  4 O 1.93-2.11
Zn 0.6781 0.3773 0.4640  4 O 1.93-2.11
Zn 0.0599 0.3486 0.5667  4 O 1.94-2.03
Zn 0.6514 0.9401 0.9333  4 O 1.94-2.03
Zn 0.6227 0.3219 0.0360  4 O 1.93-2.11
Cr 0.3157 0.9922 0.7283  6 O 1.98-2.11
Cr 0.9922 0.3157 0.2283  6 O 1.98-2.11
Cr 0.1468 0.5233 0.0419  6 O 2.01-2.10
Cr 0.5233 0.1468 0.5419  6 O 2.01-2.10
Cr 0.4767 0.8532 0.4581  6 O 2.01-2.10
Cr 0.8287 0.1713 0.7500  6 O 2.02-2.06
Cr 0.1713 0.8287 0.2500  6 O 2.02-2.06
Cr 0.8532 0.4767 0.9581  6 O 2.01-2.10
Cr 0.6843 0.0078 0.2717  6 O 1.98-2.11
Cr 0.0078 0.6843 0.7717  6 O 1.98-2.11
Te 0.6651 0.6460 0.7079  4 O 2.00-2.22
Te 0.0000 0.0000 0.0000  6 O 2.11-2.12
Te 0.0000 0.0000 0.5000  6 O 2.11-2.12
Te 0.6460 0.6651 0.2079  4 O 2.00-2.22
Te 0.3349 0.3540 0.2921  4 O 2.00-2.22
Te 0.3540 0.3349 0.7921  4 O 2.00-2.22
O 0.9443 0.5911 0.6226  2 Zn 2.01-2.03, 1 Cr 2.05
O 0.2506 0.9189 0.5639  2 Cr 2.05-2.10, 1 Te 2.12
O 0.4121 0.7584 0.3127  2 Cr 2.03-2.06, 1 Te 2.08
O 0.9313 0.9199 0.1799  2 Cr 2.06-2.11, 1 Te 2.11
O 0.0811 0.7494 0.9361  2 Cr 2.05-2.10, 1 Te 2.12
O 0.0801 0.0687 0.3201  2 Cr 2.06-2.11, 1 Te 2.11
O 0.6125 0.5572 0.0420  2 Zn 2.02-2.05, 1 Cr 2.04, 1 Te 2.16
O 0.8927 0.2460 0.5762  2 Zn 2.02-2.11, 1 Cr 2.02, 1 Te 2.12
O 0.1073 0.7540 0.4238  2 Zn 2.02-2.11, 1 Cr 2.02, 1 Te 2.12
O 0.2218 0.2830 0.1393  1 Zn 1.94, 2 Cr 2.05-2.10
O 0.4315 0.7508 0.7960  1 Zn 1.93, 1 Cr 1.98, 1 Te 2.00
O 0.7782 0.7170 0.8607  1 Zn 1.94, 2 Cr 2.05-2.10
O 0.7494 0.0811 0.4361  2 Cr 2.05-2.10, 1 Te 2.12
O 0.5401 0.9209 0.6173  3 Cr 2.01-2.06
O 0.2492 0.5685 0.7040  1 Zn 1.93, 1 Cr 1.98, 1 Te 2.00
O 0.3875 0.4428 0.9580  2 Zn 2.02-2.05, 1 Cr 2.04, 1 Te 2.16
O 0.5685 0.2492 0.2040  1 Zn 1.93, 1 Cr 1.98, 1 Te 2.00
O 0.0791 0.4599 0.8827  3 Cr 2.01-2.06
O 0.2416 0.5879 0.1873  2 Cr 2.03-2.06, 1 Te 2.08
O 0.7508 0.4315 0.2960  1 Zn 1.93, 1 Cr 1.98, 1 Te 2.00
O 0.5911 0.9443 0.1226  2 Zn 2.01-2.03, 1 Cr 2.05
O 0.4599 0.0791 0.3827  3 Cr 2.01-2.06
O 0.7540 0.1073 0.9238  2 Zn 2.02-2.11, 1 Cr 2.02, 1 Te 2.12
O 0.5572 0.6125 0.5420  2 Zn 2.02-2.05, 1 Cr 2.04, 1 Te 2.16
O 0.5879 0.2416 0.6873  2 Cr 2.03-2.06, 1 Te 2.08
O 0.9199 0.9313 0.6799  2 Cr 2.06-2.11, 1 Te 2.11
O 0.2830 0.2218 0.6393  1 Zn 1.94, 2 Cr 2.05-2.10
O 0.4428 0.3875 0.4580  2 Zn 2.02-2.05, 1 Cr 2.04, 1 Te 2.16
O 0.9189 0.2506 0.0639  2 Cr 2.05-2.10, 1 Te 2.12
O 0.9209 0.5401 0.1173  3 Cr 2.01-2.06
O 0.0557 0.4089 0.3774  2 Zn 2.01-2.03, 1 Cr 2.05
O 0.0687 0.0801 0.8201  2 Cr 2.06-2.11, 1 Te 2.11
O 0.2460 0.8927 0.0762  2 Zn 2.02-2.11, 1 Cr 2.02, 1 Te 2.12
O 0.7170 0.7782 0.3607  1 Zn 1.94, 2 Cr 2.05-2.10
O 0.7584 0.4121 0.8127  2 Cr 2.03-2.06, 1 Te 2.08
O 0.4089 0.0557 0.8774  2 Zn 2.01-2.03, 1 Cr 2.05

Crystal system: monoclinic
Formation energy, eV/atom: -1.8480

[2]
Entry from the Materials Project database: LiVBO4 after structural relaxation (PBE+U).

Unit cell a=4.3856 b=6.0672 c=10.1012 alpha=90.00 beta=90.00 gamma=90.00
Last column: nearest neighbours and their distance in Å.
Element x y z (fractional)
Li 0.4805 0.2500 0.7235  5 O 2.01-2.23
Li 0.9805 0.7500 0.7765  5 O 2.01-2.23
Li 0.0195 0.2500 0.2235  5 O 2.01-2.23
Li 0.5195 0.7500 0.2765  5 O 2.01-2.23
V 0.0000 0.5000 0.5000  6 O 1.89-2.05
V 0.0000 0.0000 0.5000  6 O 1.89-2.05
V 0.5000 0.5000 0.0000  6 O 1.89-2.05
V 0.5000 0.0000 0.0000  6 O 1.89-2.05
B 0.4067 0.7500 0.5828  4 O 1.44-1.60
B 0.9067 0.2500 0.9172  4 O 1.44-1.60
B 0.0933 0.7500 0.0828  4 O 1.44-1.60
B 0.5933 0.2500 0.4172  4 O 1.44-1.60
O 0.7472 0.2500 0.5612  1 B 1.60
O 0.7351 0.7500 0.5747  1 B 1.44
O 0.2711 0.9517 0.6422  1 B 1.49
O 0.2711 0.5483 0.6422  1 B 1.49
O 0.7711 0.0483 0.8578  1 B 1.49
O 0.7711 0.4517 0.8578  1 B 1.49
O 0.2351 0.2500 0.9253  1 B 1.44
O 0.2472 0.7500 0.9388  1 B 1.60
O 0.7528 0.2500 0.0612  1 B 1.60
O 0.7649 0.7500 0.0747  1 B 1.44
O 0.2289 0.5483 0.1422  1 B 1.49
O 0.2289 0.9517 0.1422  1 B 1.49
O 0.7289 0.0483 0.3578  1 B 1.49
O 0.7289 0.4517 0.3578  1 B 1.49
O 0.2649 0.2500 0.4253  1 B 1.44
O 0.2528 0.7500 0.4388  1 B 1.60

Crystal system: orthorhombic
Formation energy, eV/atom: -2.5521
Polymorph energy (0 for the lowest one), kJ/mol of atoms: 4.7

[3]
Entry from the Materials Project database: MgCr2O4 after structural relaxation (PBE+U).

Unit cell a=5.0996 b=5.8727 c=10.2436 alpha=90.00 beta=90.00 gamma=90.00
Last column: nearest neighbours and their distance in Å.
Element x y z (fractional)
Mg 0.8555 0.0000 0.5000  6 O 2.07-2.27
Mg 0.1445 0.5000 0.0000  6 O 2.07-2.27
Mg 0.5317 0.0000 0.0000  6 O 2.10-2.26
Mg 0.4683 0.5000 0.5000  6 O 2.10-2.26
Cr 0.5110 0.5000 0.2357  6 O 1.99-2.10
Cr 0.5110 0.5000 0.7643  6 O 1.99-2.10
Cr 0.4890 0.0000 0.2643  6 O 1.99-2.10
Cr 0.4890 0.0000 0.7357  6 O 1.99-2.10
Cr 0.0000 0.2500 0.2500  6 O 1.98-2.05
Cr 0.0000 0.7500 0.7500  6 O 1.98-2.05
Cr 0.0000 0.7500 0.2500  6 O 1.98-2.05
Cr 0.0000 0.2500 0.7500  6 O 1.98-2.05
O 0.8553 0.5000 0.1417  3 Cr 1.98-2.00, 1 Mg 2.07
O 0.8553 0.5000 0.8583  3 Cr 1.98-2.00, 1 Mg 2.07
O 0.1447 0.0000 0.3583  3 Cr 1.98-2.00, 1 Mg 2.07
O 0.1447 0.0000 0.6417  3 Cr 1.98-2.00, 1 Mg 2.07
O 0.1925 0.5000 0.3477  3 Cr 1.99-2.03, 1 Mg 2.10
O 0.1925 0.5000 0.6523  3 Cr 1.99-2.03, 1 Mg 2.10
O 0.8075 0.0000 0.1523  3 Cr 1.99-2.03, 1 Mg 2.10
O 0.8075 0.0000 0.8477  3 Cr 1.99-2.03, 1 Mg 2.10
O 0.6657 0.2533 0.3619  3 Cr 2.01-2.10
O 0.6657 0.7467 0.6381  3 Cr 2.01-2.10
O 0.3343 0.7533 0.1381  3 Cr 2.01-2.10
O 0.3343 0.2467 0.8619  3 Cr 2.01-2.10
O 0.3343 0.2467 0.1381  3 Cr 2.01-2.10
O 0.3343 0.7533 0.8619  3 Cr 2.01-2.10
O 0.6657 0.7467 0.3619  3 Cr 2.01-2.10
O 0.6657 0.2533 0.6381  3 Cr 2.01-2.10

Crystal system: orthorhombic
Formation energy, eV/atom: -2.5071
Polymorph energy (0 for the lowest one), kJ/mol of atoms: 12.2

[4]
Entry from the Materials Project database: KMo2C4ClO8 after structural relaxation (PBE+U).

Unit cell a=7.1967 b=8.7538 c=11.4509 alpha=94.01 beta=90.43 gamma=110.65
Last column: nearest neighbours and their distance in Å.
Element x y z (fractional)
K 0.7903 0.1196 0.6003  4 O 2.87-3.12
K 0.2097 0.8804 0.3997  4 O 2.87-3.12
Mo 0.4092 0.3669 0.5653  4 O 2.22-2.24
Mo 0.5908 0.6331 0.4347  4 O 2.22-2.24
Mo 0.0875 0.0147 0.8736  4 O 2.27-2.32
Mo 0.9125 0.9853 0.1264  4 O 2.27-2.32
C 0.1454 0.4542 0.3903  2 O 1.26
C 0.8546 0.5458 0.6097  2 O 1.26
C 0.4229 0.7032 0.6668  2 O 1.25-1.26
C 0.5771 0.2968 0.3332  2 O 1.25-1.26
C 0.2562 0.8520 0.0661  2 O 1.24-1.26
C 0.7438 0.1480 0.9339  2 O 1.24-1.26
C 0.2682 0.2951 0.0712  2 O 1.24-1.25
C 0.7318 0.7049 0.9288  2 O 1.24-1.25
Cl 0.2320 0.0803 0.6517  2 Mo 2.65-2.77
Cl 0.7680 0.9197 0.3483  2 Mo 2.65-2.77
O 0.1379 0.3502 0.4632  1 C 1.26
O 0.8621 0.6498 0.5368  1 C 1.26
O 0.3640 0.5567 0.6891  1 C 1.25
O 0.6360 0.4433 0.3109  1 C 1.25
O 0.7138 0.4229 0.6404  1 C 1.26
O 0.2862 0.5771 0.3596  1 C 1.26
O 0.4894 0.2208 0.4185  1 C 1.26
O 0.5106 0.7792 0.5815  1 C 1.26
O 0.2677 0.8845 0.9620  1 C 1.24
O 0.7323 0.1155 0.0380  1 C 1.24
O 0.2833 0.2569 0.9660  1 C 1.24
O 0.7167 0.7431 0.0340  1 C 1.24
O 0.8462 0.1297 0.8493  1 C 1.26
O 0.1538 0.8703 0.1507  1 C 1.26
O 0.8377 0.7686 0.8467  1 C 1.25
O 0.1623 0.2314 0.1533  1 C 1.25

Crystal system: triclinic
Formation energy, eV/atom: -0.9822

[5]
Entry from the Materials Project database: Sr2FeCu2O7 after structural relaxation (PBE+U).

Unit cell a=13.1841 b=13.1841 c=13.1841 alpha=157.56 beta=157.38 gamma=32.08
Last column: nearest neighbours and their distance in Å.
Element x y z (fractional)
Sr 0.6456 0.6265 0.9744  9 O 2.59-2.80
Sr 0.3544 0.3288 0.9809  9 O 2.59-2.80
Sr 0.1521 0.1265 0.9809  9 O 2.59-2.80
Sr 0.8479 0.8288 0.9744  9 O 2.59-2.80
Fe 0.1844 0.7775 0.4619  4 O 1.83-1.93
Fe 0.8156 0.2775 0.5931  4 O 1.83-1.93
Cu 0.5610 0.0379 0.4795  4 O 1.86-1.87
Cu 0.4390 0.9185 0.4769  4 O 1.86-1.87
Cu 0.0584 0.5379 0.4769  4 O 1.86-1.87
Cu 0.9416 0.4185 0.4795  4 O 1.86-1.87
O 0.8359 0.6540 0.9899  2 Fe 1.91-1.93
O 0.1641 0.1540 0.8180  2 Fe 1.91-1.93
O 0.3265 0.3045 0.4799  2 Cu 1.87
O 0.6735 0.1534 0.9780  2 Cu 1.87
O 0.3245 0.8045 0.9780  2 Cu 1.87
O 0.6755 0.6534 0.4799  2 Cu 1.87
O 0.8262 0.8042 0.4777  2 Cu 1.86-1.87
O 0.1738 0.6515 0.9780  2 Cu 1.86-1.87
O 0.8265 0.3042 0.9780  2 Cu 1.86-1.87
O 0.1735 0.1515 0.4777  2 Cu 1.86-1.87
O 0.1957 0.6514 0.4859  1 Fe 1.83
O 0.8043 0.2901 0.4557  1 Fe 1.83
O 0.6655 0.1514 0.4557  1 Fe 1.83
O 0.3345 0.7901 0.4859  1 Fe 1.83

Crystal system: orthorhombic
Formation energy, eV/atom: -1.6985

[6]
Entry from the Materials Project database: Sm2V2O5 after structural relaxation (PBE+U).

Unit cell a=8.7954 b=8.7954 c=8.7954 alpha=143.82 beta=141.42 gamma=53.92
Last column: nearest neighbours and their distance in Å.
Element x y z (fractional)
Sm 0.8770 0.3922 0.4899  5 O 2.31-2.50
Sm 0.1230 0.6129 0.5153  5 O 2.31-2.50
Sm 0.4024 0.8922 0.5153  5 O 2.31-2.50
Sm 0.5976 0.1129 0.4899  5 O 2.31-2.50
V 0.0000 0.9820 0.9820  6 O 2.06-2.19
V 0.5000 0.4820 0.9820  6 O 2.06-2.19
V 0.8021 0.7831 0.0852  4 O 2.05-2.18
V 0.1979 0.2831 0.9811  4 O 2.05-2.18
O 0.7693 0.7782 0.4831  2 V 2.06
O 0.2307 0.7138 0.0089  2 V 2.06
O 0.7951 0.2782 0.0089  2 V 2.06
O 0.2049 0.2138 0.4831  2 V 2.06
O 0.7710 0.8123 0.8527  2 V 2.05-2.19
O 0.2290 0.0817 0.0413  2 V 2.05-2.19
O 0.4597 0.3123 0.0413  2 V 2.05-2.19
O 0.5403 0.5817 0.8527  2 V 2.05-2.19
O 0.8422 0.1798 0.5219  2 V 2.14-2.18, 2 Sm 2.31
O 0.1578 0.6798 0.3376  2 V 2.14-2.18, 2 Sm 2.31

Crystal system: orthorhombic
Formation energy, eV/atom: -2.8592

[7]
Entry from the Materials Project database: Co2As2O7 after structural relaxation (PBE+U).

Unit cell a=4.8725 b=6.5201 c=8.7109 alpha=89.76 beta=89.94 gamma=102.06
Last column: nearest neighbours and their distance in Å.
Element x y z (fractional)
Co 0.4936 0.9982 0.3164  6 O 2.09-2.21
Co 0.4904 0.0065 0.6962  5 O 2.05-2.18
Co 0.4948 0.5023 0.8112  6 O 2.04-2.22
Co 0.4917 0.5010 0.1927  6 O 2.08-2.28
As 0.1001 0.7488 0.0003  4 O 1.72-1.79
As 0.0993 0.2475 0.4991  4 O 1.72-1.79
As 0.9000 0.2251 0.0013  4 O 1.70-1.74
As 0.9006 0.7236 0.4999  4 O 1.70-1.74
O 0.0711 0.5166 0.4846  2 As 1.73-1.79
O 0.0663 0.0160 0.9870  2 As 1.73-1.79
O 0.7556 0.6142 0.0030  1 As 1.72
O 0.7533 0.1152 0.5041  1 As 1.73
O 0.2043 0.4201 0.0010  1 As 1.74
O 0.2034 0.9210 0.5048  1 As 1.74
O 0.2892 0.7561 0.8316  1 As 1.73
O 0.2813 0.2507 0.3280  1 As 1.73
O 0.2876 0.7602 0.1682  1 As 1.72
O 0.2856 0.2617 0.6680  1 As 1.72
O 0.7054 0.2329 0.8385  1 As 1.71
O 0.7095 0.7337 0.3359  1 As 1.71
O 0.7075 0.2256 0.1645  1 As 1.70
O 0.7093 0.7229 0.6637  1 As 1.70

Crystal system: triclinic
Formation energy, eV/atom: -1.5693
Polymorph energy (0 for the lowest one), kJ/mol of atoms: 0.1

[8]
Entry from the Materials Project database: ZnCr4CoO8 after structural relaxation (PBE+U).

Unit cell a=6.0052 b=6.0054 c=10.3632 alpha=73.16 beta=90.00 gamma=60.00
Last column: nearest neighbours and their distance in Å.
Element x y z (fractional)
Zn 0.0000 0.9999 0.0001  4 O 2.00-2.01
Zn 0.5000 0.9999 0.5001  4 O 2.00
Cr 0.5623 0.3751 0.6875  6 O 2.03
Cr 0.0626 0.8748 0.6875  6 O 2.03
Cr 0.0626 0.3751 0.6875  6 O 2.03
Cr 0.8128 0.3743 0.4385  6 O 2.03
Cr 0.3120 0.3760 0.9359  6 O 2.02-2.03
Cr 0.0621 0.3752 0.1876  6 O 2.03
Cr 0.5627 0.8745 0.1876  6 O 2.03
Cr 0.5627 0.3752 0.1876  6 O 2.03
Co 0.1248 0.7504 0.3744  4 O 2.01
Co 0.6250 0.7500 0.8751  4 O 2.00
O 0.4317 0.1365 0.2952  1 Zn 2.00, 3 Cr 2.03
O 0.9317 0.1367 0.7950  1 Zn 2.00, 3 Cr 2.03
O 0.6583 0.1368 0.0680  1 Zn 2.01, 3 Cr 2.03
O 0.1602 0.1357 0.5684  1 Zn 2.00, 3 Cr 2.03
O 0.2048 0.5903 0.0680  1 Zn 2.01, 3 Cr 2.03
O 0.7041 0.5918 0.5684  1 Zn 2.00, 3 Cr 2.03
O 0.2048 0.1368 0.0680  1 Zn 2.01, 3 Cr 2.03
O 0.7041 0.1357 0.5684  1 Zn 2.00, 3 Cr 2.03
O 0.6933 0.6135 0.0798  1 Co 2.00, 3 Cr 2.03
O 0.1933 0.6133 0.5800  1 Co 2.01, 3 Cr 2.03
O 0.4665 0.6133 0.3070  1 Co 2.01, 3 Cr 2.03
O 0.9646 0.6143 0.8068  1 Co 2.00, 3 Cr 2.02-2.03
O 0.9203 0.1595 0.3070  1 Co 2.01, 3 Cr 2.03
O 0.4211 0.1578 0.8068  1 Co 2.00, 3 Cr 2.02-2.03
O 0.9202 0.6133 0.3070  1 Co 2.01, 3 Cr 2.03
O 0.4211 0.6143 0.8068  1 Co 2.00, 3 Cr 2.02-2.03

Crystal system: trigonal
Formation energy, eV/atom: -2.2040
Maximum piezoelectric response, C/m2: 0.00

> Which value of formation energy does entry 1 give?

-1.8480 eV/atom

> Which of these has the lowest formation energy?

Sm2V2O5

> What is the formula in the third record?

MgCr2O4